Record 1
VASP calculation (r2SCAN) on an optimized crystal structure of In2O3.

## Properties
ΔE_f in eV/atom: -1.856
E in eV for the cell shown: -578.85
V in A^3/atom: 13.17

a = 8.813 Å, b = 8.813 Å, c = 8.813 Å
α = 109.47°, β = 109.47°, γ = 109.47°
Fractional coordinates of all 40 atoms:
In: 0.750 0.284 0.534
In: 0.250 0.716 0.466
In: 0.000 0.000 0.500
In: 0.500 0.000 0.000
In: 0.534 0.750 0.284
In: 0.466 0.250 0.716
In: 0.750 0.784 0.034
In: 0.250 0.216 0.966
In: 0.284 0.534 0.750
In: 0.034 0.750 0.784
In: 0.000 0.500 0.000
In: 0.500 0.500 0.500
In: 0.966 0.250 0.216
In: 0.716 0.466 0.250
In: 0.216 0.966 0.250
In: 0.784 0.034 0.750
O: 0.545 0.537 0.772
O: 0.537 0.772 0.545
O: 0.963 0.508 0.235
O: 0.265 0.773 0.728
O: 0.463 0.228 0.455
O: 0.045 0.272 0.008
O: 0.228 0.455 0.463
O: 0.992 0.955 0.727
O: 0.272 0.735 0.228
O: 0.235 0.963 0.508
O: 0.508 0.235 0.963
O: 0.008 0.045 0.272
O: 0.765 0.037 0.492
O: 0.955 0.727 0.992
O: 0.228 0.272 0.735
O: 0.727 0.992 0.955
O: 0.773 0.728 0.265
O: 0.728 0.265 0.773
O: 0.735 0.228 0.272
O: 0.037 0.492 0.765
O: 0.272 0.008 0.045
O: 0.492 0.764 0.037
O: 0.772 0.545 0.537
O: 0.455 0.463 0.228

Record 2
VASP calculation (r2SCAN) on an optimized crystal structure of ErIr.

## Properties
ΔE_f in eV/atom: -1.055
E in eV for the cell shown: -88.39
V in A^3/atom: 19.17

a = 3.372 Å, b = 3.372 Å, c = 3.372 Å
α = 90.00°, β = 90.00°, γ = 90.00°
Fractional coordinates of all 2 atoms:
Er: 0.000 0.000 0.000
Ir: 0.500 0.500 0.500

Record 3
VASP calculation (r2SCAN) on an optimized crystal structure of Zn12Pt7.

## Properties
ΔE_f in eV/atom: -0.539
E in eV for the cell shown: -955.15
V in A^3/atom: 14.68

a = 2.778 Å, b = 6.981 Å, c = 28.779 Å
α = 90.00°, β = 90.00°, γ = 90.00°
Fractional coordinates of all 38 atoms:
Zn: 0.500 0.876 0.071
Zn: 0.500 0.124 0.929
Zn: 0.500 0.376 0.429
Zn: 0.500 0.624 0.571
Zn: 0.500 0.862 0.216
Zn: 0.500 0.138 0.784
Zn: 0.500 0.362 0.284
Zn: 0.500 0.638 0.716
Zn: 0.500 0.817 0.492
Zn: 0.500 0.183 0.508
Zn: 0.500 0.317 0.008
Zn: 0.500 0.683 0.992
Zn: 0.500 0.632 0.143
Zn: 0.500 0.368 0.857
Zn: 0.500 0.746 0.899
Zn: 0.500 0.254 0.101
Zn: 0.500 0.246 0.601
Zn: 0.500 0.754 0.399
Zn: 0.500 0.770 0.801
Zn: 0.500 0.230 0.199
Zn: 0.500 0.269 0.699
Zn: 0.500 0.731 0.301
Zn: 0.500 0.868 0.643
Zn: 0.500 0.132 0.357
Pt: 0.000 0.537 0.067
Pt: 0.000 0.463 0.933
Pt: 0.000 0.037 0.433
Pt: 0.000 0.963 0.567
Pt: 0.000 0.541 0.219
Pt: 0.000 0.459 0.781
Pt: 0.000 0.041 0.281
Pt: 0.000 0.959 0.719
Pt: 0.000 0.496 0.356
Pt: 0.000 0.504 0.644
Pt: 0.000 0.996 0.144
Pt: 0.000 0.004 0.856
Pt: 0.000 0.500 0.500
Pt: 0.000 0.000 0.000

Record 4
VASP calculation (r2SCAN) on an optimized crystal structure of NdSiRu.

## Properties
ΔE_f in eV/atom: -0.832
E in eV for the cell shown: -132.23
V in A^3/atom: 20.62

a = 4.222 Å, b = 4.222 Å, c = 6.940 Å
α = 90.00°, β = 90.00°, γ = 90.00°
Fractional coordinates of all 6 atoms:
Nd: 0.750 0.750 0.318
Nd: 0.250 0.250 0.682
Si: 0.750 0.750 0.828
Si: 0.250 0.250 0.172
Ru: 0.750 0.250 0.000
Ru: 0.250 0.750 0.000

Record 5
VASP calculation (r2SCAN) on an optimized crystal structure of NpH3.

## Properties
ΔE_f in eV/atom: -0.574
E in eV for the cell shown: -95.69
V in A^3/atom: 9.18

a = 3.949 Å, b = 3.949 Å, c = 3.949 Å
α = 128.48°, β = 128.48°, γ = 75.85°
Fractional coordinates of all 4 atoms:
Np: 0.000 0.000 0.000
H: 0.750 0.250 0.500
H: 0.250 0.750 0.500
H: 0.500 0.500 0.000

Record 6
VASP calculation (r2SCAN) on an optimized crystal structure of U2PS.

## Properties
ΔE_f in eV/atom: -1.577
E in eV for the cell shown: -366.46
V in A^3/atom: 22.37
Relative energy among the computed polymorphs in meV per atom: 0.0

a = 6.937 Å, b = 6.937 Å, c = 6.937 Å
α = 132.55°, β = 132.08°, γ = 69.73°
Fractional coordinates of all 8 atoms:
U: 0.499 0.999 0.500
U: 0.001 0.501 0.500
U: 0.749 0.749 0.000
U: 0.251 0.251 0.000
P: 0.250 0.750 0.500
P: 0.500 0.500 0.000
S: 0.000 0.000 0.000
S: 0.750 0.250 0.500

Record 7
VASP calculation (r2SCAN) on an optimized crystal structure of ScGe2.

## Properties
ΔE_f in eV/atom: -0.571
E in eV for the cell shown: -81.71
V in A^3/atom: 18.40

a = 3.792 Å, b = 3.858 Å, c = 7.789 Å
α = 104.34°, β = 90.00°, γ = 90.00°
Fractional coordinates of all 6 atoms:
Sc: 0.750 0.103 0.206
Sc: 0.250 0.897 0.794
Ge: 0.750 0.445 0.889
Ge: 0.250 0.555 0.111
Ge: 0.750 0.748 0.496
Ge: 0.250 0.252 0.504

Record 8
VASP calculation (r2SCAN) on an optimized crystal structure of TmBi.

## Properties
ΔE_f in eV/atom: -0.986
E in eV for the cell shown: -95.60
V in A^3/atom: 30.37

a = 4.412 Å, b = 4.412 Å, c = 4.412 Å
α = 60.00°, β = 60.00°, γ = 60.00°
Fractional coordinates of all 2 atoms:
Tm: 0.500 0.500 0.500
Bi: 0.000 0.000 0.000

Record 9
VASP calculation (r2SCAN) on an optimized crystal structure of Zr3Cu4Si4.

## Properties
ΔE_f in eV/atom: -0.623
E in eV for the cell shown: -153.58
V in A^3/atom: 14.84

a = 3.928 Å, b = 6.362 Å, c = 7.526 Å
α = 115.00°, β = 105.10°, γ = 90.00°
Fractional coordinates of all 11 atoms:
Zr: 0.875 0.875 0.750
Zr: 0.125 0.125 0.250
Zr: 0.000 0.500 0.000
Cu: 0.331 0.523 0.661
Cu: 0.669 0.861 0.338
Cu: 0.331 0.139 0.662
Cu: 0.669 0.477 0.339
Si: 0.500 0.809 0.000
Si: 0.500 0.191 0.000
Si: 0.785 0.284 0.569
Si: 0.215 0.716 0.431

Record 10
VASP calculation (r2SCAN) on an optimized crystal structure of TmCu2Si2.

## Properties
ΔE_f in eV/atom: -0.609
E in eV for the cell shown: -77.41
V in A^3/atom: 15.19

a = 3.908 Å, b = 3.908 Å, c = 5.688 Å
α = 110.09°, β = 110.09°, γ = 90.00°
Fractional coordinates of all 5 atoms:
Tm: 0.000 0.000 0.000
Cu: 0.750 0.250 0.500
Cu: 0.250 0.750 0.500
Si: 0.617 0.617 0.233
Si: 0.383 0.383 0.767

Record 11
VASP calculation (r2SCAN) on an optimized crystal structure of CsAlNiF6.

## Properties
ΔE_f in eV/atom: -3.208
E in eV for the cell shown: -182.90
V in A^3/atom: 14.10

a = 7.106 Å, b = 7.106 Å, c = 7.106 Å
α = 120.77°, β = 119.15°, γ = 90.07°
Fractional coordinates of all 18 atoms:
Cs: 0.629 0.879 0.750
Cs: 0.371 0.121 0.250
Al: 0.000 0.500 0.000
Al: 0.000 0.000 0.500
Ni: 0.500 0.500 0.000
Ni: 0.000 0.500 0.500
F: 0.049 0.799 0.250
F: 0.669 0.419 0.250
F: 0.055 0.836 0.635
F: 0.701 0.420 0.865
F: 0.701 0.836 0.280
F: 0.055 0.420 0.220
F: 0.951 0.201 0.750
F: 0.331 0.581 0.750
F: 0.945 0.164 0.365
F: 0.299 0.580 0.135
F: 0.299 0.164 0.720
F: 0.945 0.580 0.780

Record 12
VASP calculation (r2SCAN) on an optimized crystal structure of CsMnI3.

## Properties
ΔE_f in eV/atom: -1.264
E in eV for the cell shown: -239.57
V in A^3/atom: 41.51

a = 8.278 Å, b = 8.278 Å, c = 6.994 Å
α = 90.00°, β = 90.00°, γ = 120.00°
Fractional coordinates of all 10 atoms:
Cs: 0.333 0.667 0.750
Cs: 0.667 0.333 0.250
Mn: 0.000 0.000 0.000
Mn: 0.000 0.000 0.500
I: 0.163 0.325 0.250
I: 0.837 0.163 0.750
I: 0.325 0.163 0.750
I: 0.675 0.837 0.250
I: 0.163 0.837 0.250
I: 0.837 0.675 0.750

- Which value of ΔE_f does entry 8 give?
  -0.986 eV/atom